1.
MgV5O12 (PBE with a Hubbard U, relaxed); space-group type = P1 (1); theoretical density = 3823 kg/m3; polymorph energy (0 for the lowest one) = 6.4 kJ/mol of atoms; volume = 204.6 Å³/cell; energy of formation from the pure elements = -231.1 kJ/mol of atoms
1.0
-3.916 -3.408 1.527
0.679 -6.240 8.756
-2.752 -2.495 8.854
Mg V O
1 5 12
direct
0.277 0.498 0.289
0.995 0.006 0.993
0.991 0.482 0.018
0.480 0.966 0.542
0.487 0.540 0.453
0.309 0.015 0.270
0.349 0.286 0.130
0.260 0.122 0.597
0.138 0.303 0.718
0.910 0.159 0.245
0.326 0.782 0.146
0.726 0.410 0.318
0.229 0.675 0.570
0.560 0.170 0.903
0.151 0.818 0.707
0.852 0.677 0.249
0.695 0.907 0.335
0.599 0.685 0.863

***

2.
MgV5O12 (PBE with a Hubbard U, relaxed); space-group type = P1 (1); theoretical density = 3877 kg/m3; polymorph energy (0 for the lowest one) = 4.8 kJ/mol of atoms; volume = 201.7 Å³/cell; energy of formation from the pure elements = -232.7 kJ/mol of atoms
1.0
-3.987 3.147 2.113
-8.186 3.918 -5.663
-9.265 0.477 -2.077
Mg V O
1 5 12
direct
0.800 0.010 0.773
0.035 0.017 0.972
0.977 0.481 0.017
0.514 0.964 0.539
0.497 0.515 0.478
0.316 0.001 0.287
0.336 0.282 0.127
0.230 0.100 0.630
0.123 0.309 0.727
0.880 0.162 0.246
0.350 0.827 0.097
0.734 0.375 0.358
0.215 0.661 0.589
0.589 0.181 0.867
0.123 0.820 0.717
0.821 0.709 0.218
0.711 0.898 0.331
0.608 0.688 0.858

***

3.
Mg2V9O13 (PBE with a Hubbard U, relaxed); space-group type = C2/m (12); theoretical density = 4636 kg/m3; volume = 256.1 Å³/cell; energy of formation from the pure elements = -225.1 kJ/mol of atoms
1.0
1.471 5.097 0.000
-1.471 5.097 0.000
0.000 2.772 17.075
Mg V O
2 9 13
direct
0.787 0.787 0.230
0.213 0.213 0.770
0.500 0.500 0.500
0.354 0.354 0.043
0.646 0.646 0.957
0.251 0.251 0.416
0.749 0.749 0.584
0.068 0.068 0.128
0.932 0.932 0.872
0.011 0.011 0.330
0.989 0.989 0.670
0.000 0.000 0.000
0.148 0.148 0.229
0.852 0.852 0.771
0.703 0.703 0.073
0.297 0.297 0.927
0.424 0.424 0.150
0.576 0.576 0.850
0.378 0.378 0.309
0.622 0.622 0.691
0.617 0.617 0.386
0.383 0.383 0.614
0.872 0.872 0.462
0.128 0.128 0.538

***

4.
Mg9V10O24 (PBE with a Hubbard U, relaxed); space-group type = C2/m (12); theoretical density = 3875 kg/m3; volume = 476.6 Å³/cell; energy of formation from the pure elements = -260.5 kJ/mol of atoms
1.0
2.995 5.200 0.000
-2.995 5.200 0.000
0.000 0.150 15.303
Mg V O
9 10 24
direct
0.334 0.334 0.200
0.667 0.667 0.542
0.005 0.005 0.847
0.333 0.333 0.458
0.000 0.000 0.000
0.000 0.500 0.000
0.666 0.666 0.800
0.500 0.000 0.000
0.995 0.995 0.153
0.339 0.832 0.337
0.832 0.339 0.337
0.000 0.000 0.500
0.661 0.168 0.663
0.831 0.831 0.337
0.168 0.661 0.663
0.332 0.332 0.835
0.169 0.169 0.663
0.668 0.668 0.165
0.500 0.500 0.000
0.974 0.514 0.253
0.514 0.974 0.253
0.667 0.667 0.408
0.515 0.515 0.253
0.155 0.155 0.416
0.306 0.846 0.584
0.154 0.694 0.416
0.846 0.306 0.584
0.001 0.001 0.274
0.999 0.999 0.726
0.845 0.845 0.584
0.694 0.154 0.416
0.485 0.485 0.747
0.669 0.170 0.919
0.486 0.026 0.747
0.333 0.333 0.592
0.338 0.338 0.070
0.170 0.669 0.919
0.170 0.170 0.916
0.026 0.486 0.747
0.830 0.830 0.084
0.830 0.331 0.081
0.662 0.662 0.930
0.331 0.830 0.081

***

> Which formula does entry 3 have?

Mg2V9O13

***

> What is the energy of formation from the pure elements in the second record?

-232.7 kJ/mol of atoms

***

> The highest energy of formation from the pure elements belongs to which entry?

Mg2V9O13

***

> Among the records above, which one has the lowest energy of formation from the pure elements?

Mg9V10O24